# CaV2P2H8O14, relaxed, DFT PBE with a Hubbard U
data_CaV2P2H8O14
_chemical_formula_sum 'Ca1 V2 P2 H8 O14'
_cell_length_a 6.423
_cell_length_b 6.457
_cell_length_c 6.751
_cell_angle_alpha 92.98
_cell_angle_beta 109.06
_cell_angle_gamma 90.12
_space_group_name_H-M_alt 'P 1'
_space_group_IT_number 1
loop_
_space_group_symop_operation_xyz
'x,y,z'
loop_
_atom_site_label
_atom_site_type_symbol
_atom_site_fract_x
_atom_site_fract_y
_atom_site_fract_z
Ca1 Ca 0.084 0.355 0.494
V1 V 0.146 0.652 0.057
V2 V 0.577 0.147 0.884
P1 P 0.608 0.652 0.964
P2 P 0.107 0.153 0.984
H1 H 0.107 0.785 0.430
H2 H 0.352 0.728 0.555
H3 H 0.536 0.248 0.466
H4 H 0.372 0.056 0.376
H5 H 0.622 0.529 0.342
H6 H 0.692 0.510 0.595
H7 H 0.831 0.961 0.489
H8 H 0.072 0.998 0.639
O1 O 0.079 0.609 0.801
O2 O 0.479 0.642 0.124
O3 O 0.185 0.963 0.118
O4 O 0.853 0.671 0.098
O5 O 0.144 0.347 0.139
O6 O 0.225 0.680 0.430
O7 O 0.663 0.162 0.140
O8 O 0.242 0.172 0.830
O9 O 0.531 0.834 0.816
O10 O 0.561 0.453 0.813
O11 O 0.867 0.131 0.836
O12 O 0.434 0.151 0.503
O13 O 0.713 0.451 0.466
O14 O 0.981 0.982 0.488
# formation enthalpy at 0 K: -2.101 eV/atom
# ΔE to the lowest computed polymorph: 0 meV/atom
# total magnetic moment: 2.00 μB per cell
# mass density: 2.740 g/cm3
# space-group type: P1

# MgMnCo5O12, relaxed, DFT PBE with a Hubbard U
data_MgMnCo5O12
_chemical_formula_sum 'Mg1 Mn1 Co5 O12'
_cell_length_a 4.906
_cell_length_b 4.913
_cell_length_c 10.002
_cell_angle_alpha 85.80
_cell_angle_beta 81.88
_cell_angle_gamma 60.02
_space_group_name_H-M_alt 'P 1'
_space_group_IT_number 1
loop_
_space_group_symop_operation_xyz
'x,y,z'
loop_
_atom_site_label
_atom_site_type_symbol
_atom_site_fract_x
_atom_site_fract_y
_atom_site_fract_z
Mg1 Mg 0.922 0.336 0.249
Mn1 Mn 0.988 0.997 0.996
Co1 Co 0.183 0.668 0.497
Co2 Co 0.652 0.669 0.996
Co3 Co 0.322 0.333 0.999
Co4 Co 0.846 0.334 0.510
Co5 Co 0.516 0.001 0.497
O1 O 0.953 0.657 0.103
O2 O 0.355 0.663 0.902
O3 O 0.199 0.335 0.398
O4 O 0.556 0.657 0.398
O5 O 0.476 0.334 0.594
O6 O 0.167 0.988 0.595
O7 O 0.821 0.680 0.594
O8 O 0.635 0.337 0.103
O9 O 0.281 0.009 0.103
O10 O 0.012 0.340 0.902
O11 O 0.676 0.998 0.902
O12 O 0.878 0.013 0.398
# formation enthalpy at 0 K: -1.407 eV/atom
# ΔE to the lowest computed polymorph: 0 meV/atom
# total magnetic moment: 6.00 μB per cell
# mass density: 4.545 g/cm3
# space-group type: P1

# Fe4O3F5, relaxed, DFT PBE with a Hubbard U
data_Fe4O3F5
_chemical_formula_sum 'Fe8 O6 F10'
_cell_length_a 5.698
_cell_length_b 10.170
_cell_length_c 5.703
_cell_angle_alpha 76.54
_cell_angle_beta 62.90
_cell_angle_gamma 94.14
_space_group_name_H-M_alt 'P 1'
_space_group_IT_number 1
loop_
_space_group_symop_operation_xyz
'x,y,z'
loop_
_atom_site_label
_atom_site_type_symbol
_atom_site_fract_x
_atom_site_fract_y
_atom_site_fract_z
Fe1 Fe 0.645 0.245 0.857
Fe2 Fe 0.883 0.747 0.622
Fe3 Fe 0.236 0.505 0.752
Fe4 Fe 0.760 0.500 0.238
Fe5 Fe 0.502 0.017 0.462
Fe6 Fe 0.373 0.742 0.145
Fe7 Fe 0.106 0.244 0.410
Fe8 Fe 0.996 0.993 0.022
O1 O 0.918 0.144 0.799
O2 O 0.823 0.349 0.479
O3 O 0.687 0.656 0.001
O4 O 0.155 0.651 0.541
O5 O 0.426 0.162 0.247
O6 O 0.064 0.844 0.249
F1 F 0.848 0.395 0.951
F2 F 0.586 0.852 0.707
F3 F 0.328 0.350 0.969
F4 F 0.900 0.102 0.310
F5 F 0.636 0.596 0.545
F6 F 0.400 0.094 0.795
F7 F 0.112 0.905 0.705
F8 F 0.350 0.403 0.452
F9 F 0.594 0.895 0.201
F10 F 0.159 0.602 0.054
# formation enthalpy at 0 K: -2.101 eV/atom
# ΔE to the lowest computed polymorph: 95 meV/atom
# total magnetic moment: 38.00 μB per cell
# mass density: 4.345 g/cm3
# space-group type: P1

# MgMn9CdO10, relaxed, DFT PBE with a Hubbard U
data_MgMn9CdO10
_chemical_formula_sum 'Mg1 Mn9 Cd1 O10'
_cell_length_a 6.134
_cell_length_b 8.988
_cell_length_c 5.939
_cell_angle_alpha 70.60
_cell_angle_beta 113.11
_cell_angle_gamma 97.45
_space_group_name_H-M_alt 'P 1'
_space_group_IT_number 1
loop_
_space_group_symop_operation_xyz
'x,y,z'
loop_
_atom_site_label
_atom_site_type_symbol
_atom_site_fract_x
_atom_site_fract_y
_atom_site_fract_z
Mg1 Mg 0.367 0.799 0.676
Mn1 Mn 0.437 0.443 0.275
Mn2 Mn 0.918 0.989 0.022
Mn3 Mn 0.571 0.094 0.478
Mn4 Mn 0.914 0.614 0.206
Mn5 Mn 0.041 0.208 0.398
Mn6 Mn 0.436 0.154 0.919
Mn7 Mn 0.572 0.503 0.771
Mn8 Mn 0.043 0.393 0.805
Mn9 Mn 0.838 0.800 0.527
Cd1 Cd 0.369 0.799 0.156
O1 O 0.752 0.051 0.244
O2 O 0.885 0.423 0.080
O3 O 0.883 0.179 0.701
O4 O 0.752 0.550 0.494
O5 O 0.315 0.237 0.152
O6 O 0.073 0.800 0.355
O7 O 0.736 0.802 0.815
O8 O 0.329 0.017 0.673
O9 O 0.316 0.361 0.590
O10 O 0.332 0.581 0.890
# formation enthalpy at 0 K: -1.717 eV/atom
# ΔE to the lowest computed polymorph: 88 meV/atom
# total magnetic moment: 45.00 μB per cell
# mass density: 4.625 g/cm3
# space-group type: P1

# MgMn6O8F4, relaxed, DFT PBE with a Hubbard U
data_MgMn6O8F4
_chemical_formula_sum 'Mg1 Mn6 O8 F4'
_cell_length_a 4.946
_cell_length_b 5.010
_cell_length_c 8.954
_cell_angle_alpha 88.90
_cell_angle_beta 89.33
_cell_angle_gamma 89.44
_space_group_name_H-M_alt 'P 1'
_space_group_IT_number 1
loop_
_space_group_symop_operation_xyz
'x,y,z'
loop_
_atom_site_label
_atom_site_type_symbol
_atom_site_fract_x
_atom_site_fract_y
_atom_site_fract_z
Mg1 Mg 0.487 0.968 0.165
Mn1 Mn 0.994 0.002 0.994
Mn2 Mn 0.964 0.972 0.356
Mn3 Mn 0.030 0.036 0.665
Mn4 Mn 0.463 0.526 0.843
Mn5 Mn 0.558 0.466 0.162
Mn6 Mn 0.497 0.510 0.508
O1 O 0.175 0.809 0.509
O2 O 0.165 0.830 0.834
O3 O 0.353 0.268 0.014
O4 O 0.331 0.334 0.677
O5 O 0.651 0.723 0.008
O6 O 0.648 0.694 0.323
O7 O 0.832 0.161 0.175
O8 O 0.829 0.212 0.504
F1 F 0.160 0.763 0.180
F2 F 0.349 0.240 0.317
F3 F 0.669 0.730 0.682
F4 F 0.832 0.241 0.828
# formation enthalpy at 0 K: -2.218 eV/atom
# ΔE to the lowest computed polymorph: 95 meV/atom
# total magnetic moment: 24.00 μB per cell
# mass density: 4.177 g/cm3
# space-group type: P1

# SrMoO3, relaxed, DFT PBE with a Hubbard U
data_SrMoO3
_chemical_formula_sum 'Sr1 Mo1 O3'
_cell_length_a 4.081
_cell_length_b 4.081
_cell_length_c 4.081
_cell_angle_alpha 90.00
_cell_angle_beta 90.00
_cell_angle_gamma 90.00
_space_group_name_H-M_alt 'P 1'
_space_group_IT_number 1
loop_
_space_group_symop_operation_xyz
'x,y,z'
loop_
_atom_site_label
_atom_site_type_symbol
_atom_site_fract_x
_atom_site_fract_y
_atom_site_fract_z
Sr1 Sr 0.500 0.500 0.500
Mo1 Mo 0.000 0.000 0.000
O1 O 0.500 0.000 0.000
O2 O 0.000 0.500 0.000
O3 O 0.000 0.000 0.500
# formation enthalpy at 0 K: -2.513 eV/atom
# total magnetic moment: 2.00 μB per cell
# mass density: 5.659 g/cm3
# space-group type: Pm-3m

# Li2NiSnO4, relaxed, DFT PBE with a Hubbard U
data_Li2NiSnO4
_chemical_formula_sum 'Li8 Ni4 Sn4 O16'
_cell_length_a 6.116
_cell_length_b 8.101
_cell_length_c 8.101
_cell_angle_alpha 80.41
_cell_angle_beta 111.87
_cell_angle_gamma 68.13
_space_group_name_H-M_alt 'P 1'
_space_group_IT_number 1
loop_
_space_group_symop_operation_xyz
'x,y,z'
loop_
_atom_site_label
_atom_site_type_symbol
_atom_site_fract_x
_atom_site_fract_y
_atom_site_fract_z
Li1 Li 0.000 0.000 0.000
Li2 Li 0.000 0.250 0.250
Li3 Li 0.000 0.500 0.500
Li4 Li 0.000 0.750 0.750
Li5 Li 0.500 0.375 0.875
Li6 Li 0.500 0.625 0.125
Li7 Li 0.500 0.875 0.375
Li8 Li 0.500 0.125 0.625
Ni1 Ni 0.000 0.375 0.875
Ni2 Ni 0.000 0.625 0.125
Ni3 Ni 0.000 0.875 0.375
Ni4 Ni 0.000 0.125 0.625
Sn1 Sn 0.500 0.500 0.500
Sn2 Sn 0.500 0.750 0.750
Sn3 Sn 0.500 0.000 0.000
Sn4 Sn 0.500 0.250 0.250
O1 O 0.248 0.240 0.760
O2 O 0.248 0.490 0.010
O3 O 0.248 0.740 0.260
O4 O 0.248 0.990 0.510
O5 O 0.752 0.760 0.240
O6 O 0.752 0.010 0.490
O7 O 0.752 0.260 0.740
O8 O 0.752 0.510 0.990
O9 O 0.740 0.625 0.626
O10 O 0.740 0.874 0.875
O11 O 0.740 0.125 0.126
O12 O 0.740 0.374 0.375
O13 O 0.260 0.126 0.125
O14 O 0.260 0.375 0.374
O15 O 0.260 0.626 0.625
O16 O 0.260 0.875 0.874
# formation enthalpy at 0 K: -1.961 eV/atom
# total magnetic moment: 0.00 μB per cell
# mass density: 5.246 g/cm3

# UMoO5, relaxed, DFT PBE with a Hubbard U
data_UMoO5
_chemical_formula_sum 'U4 Mo4 O20'
_cell_length_a 4.146
_cell_length_b 7.452
_cell_length_c 13.012
_cell_angle_alpha 90.00
_cell_angle_beta 90.00
_cell_angle_gamma 90.00
_space_group_name_H-M_alt 'P 1'
_space_group_IT_number 1
loop_
_space_group_symop_operation_xyz
'x,y,z'
loop_
_atom_site_label
_atom_site_type_symbol
_atom_site_fract_x
_atom_site_fract_y
_atom_site_fract_z
U1 U 0.000 0.250 0.521
U2 U 0.000 0.750 0.479
U3 U 0.000 0.250 0.021
U4 U 0.000 0.750 0.979
Mo1 Mo 0.903 0.000 0.750
Mo2 Mo 0.097 0.000 0.250
Mo3 Mo 0.903 0.500 0.250
Mo4 Mo 0.097 0.500 0.750
O1 O 0.989 0.457 0.402
O2 O 0.989 0.043 0.902
O3 O 0.989 0.957 0.598
O4 O 0.518 0.000 0.250
O5 O 0.500 0.250 0.526
O6 O 0.482 0.500 0.250
O7 O 0.011 0.543 0.598
O8 O 0.989 0.543 0.098
O9 O 0.000 0.750 0.296
O10 O 0.011 0.957 0.098
O11 O 0.011 0.043 0.402
O12 O 0.500 0.750 0.474
O13 O 0.000 0.250 0.204
O14 O 0.482 0.000 0.750
O15 O 0.000 0.250 0.704
O16 O 0.500 0.250 0.026
O17 O 0.500 0.750 0.974
O18 O 0.011 0.457 0.902
O19 O 0.518 0.500 0.750
O20 O 0.000 0.750 0.796
# formation enthalpy at 0 K: -2.870 eV/atom
# total magnetic moment: 8.01 μB per cell
# mass density: 6.840 g/cm3
# space-group type: Pcca

# Na3MnO3, relaxed, DFT PBE with a Hubbard U
data_Na3MnO3
_chemical_formula_sum 'Na12 Mn4 O12'
_cell_length_a 6.001
_cell_length_b 12.477
_cell_length_c 5.909
_cell_angle_alpha 90.00
_cell_angle_beta 115.47
_cell_angle_gamma 90.00
_space_group_name_H-M_alt 'P 1'
_space_group_IT_number 1
loop_
_space_group_symop_operation_xyz
'x,y,z'
loop_
_atom_site_label
_atom_site_type_symbol
_atom_site_fract_x
_atom_site_fract_y
_atom_site_fract_z
Na1 Na 0.139 0.221 0.701
Na2 Na 0.246 0.484 0.779
Na3 Na 0.254 0.984 0.721
Na4 Na 0.361 0.721 0.799
Na5 Na 0.289 0.599 0.351
Na6 Na 0.211 0.099 0.149
Na7 Na 0.789 0.901 0.851
Na8 Na 0.711 0.401 0.649
Na9 Na 0.639 0.279 0.201
Na10 Na 0.746 0.016 0.279
Na11 Na 0.754 0.516 0.221
Na12 Na 0.861 0.779 0.299
Mn1 Mn 0.172 0.341 0.263
Mn2 Mn 0.328 0.841 0.237
Mn3 Mn 0.672 0.159 0.763
Mn4 Mn 0.828 0.659 0.737
O1 O 0.995 0.369 0.452
O2 O 0.114 0.934 0.306
O3 O 0.069 0.732 0.024
O4 O 0.495 0.131 0.952
O5 O 0.431 0.232 0.476
O6 O 0.614 0.566 0.806
O7 O 0.386 0.434 0.194
O8 O 0.569 0.768 0.524
O9 O 0.505 0.869 0.048
O10 O 0.931 0.268 0.976
O11 O 0.886 0.066 0.694
O12 O 0.005 0.631 0.548
# formation enthalpy at 0 K: -1.736 eV/atom
# ΔE to the lowest computed polymorph: 31 meV/atom
# total magnetic moment: 16.00 μB per cell
# mass density: 2.858 g/cm3
# space-group type: P2_1/c

# Na2W2O7, relaxed, DFT PBE with a Hubbard U
data_Na2W2O7
_chemical_formula_sum 'Na8 W8 O28'
_cell_length_a 7.091
_cell_length_b 7.091
_cell_length_c 15.044
_cell_angle_alpha 90.00
_cell_angle_beta 90.00
_cell_angle_gamma 117.25
_space_group_name_H-M_alt 'P 1'
_space_group_IT_number 1
loop_
_space_group_symop_operation_xyz
'x,y,z'
loop_
_atom_site_label
_atom_site_type_symbol
_atom_site_fract_x
_atom_site_fract_y
_atom_site_fract_z
Na1 Na 0.669 0.331 0.346
Na2 Na 0.250 0.250 0.000
Na3 Na 0.331 0.669 0.654
Na4 Na 0.750 0.750 0.000
Na5 Na 0.250 0.250 0.500
Na6 Na 0.750 0.750 0.500
Na7 Na 0.169 0.831 0.154
Na8 Na 0.831 0.169 0.846
W1 W 0.162 0.338 0.250
W2 W 0.746 0.254 0.586
W3 W 0.338 0.162 0.750
W4 W 0.838 0.662 0.750
W5 W 0.754 0.246 0.086
W6 W 0.254 0.746 0.414
W7 W 0.246 0.754 0.914
W8 W 0.662 0.838 0.250
O1 O 0.124 0.876 0.469
O2 O 0.860 0.140 0.002
O3 O 0.197 0.208 0.839
O4 O 0.376 0.624 0.969
O5 O 0.697 0.708 0.661
O6 O 0.792 0.803 0.839
O7 O 0.935 0.472 0.657
O8 O 0.803 0.792 0.161
O9 O 0.435 0.972 0.843
O10 O 0.292 0.303 0.661
O11 O 0.877 0.123 0.282
O12 O 0.640 0.360 0.502
O13 O 0.123 0.877 0.718
O14 O 0.624 0.376 0.031
O15 O 0.377 0.623 0.218
O16 O 0.140 0.860 0.998
O17 O 0.528 0.065 0.657
O18 O 0.028 0.565 0.843
O19 O 0.472 0.935 0.343
O20 O 0.360 0.640 0.498
O21 O 0.623 0.377 0.782
O22 O 0.065 0.528 0.343
O23 O 0.208 0.197 0.161
O24 O 0.972 0.435 0.157
O25 O 0.565 0.028 0.157
O26 O 0.303 0.292 0.339
O27 O 0.876 0.124 0.531
O28 O 0.708 0.697 0.339
# formation enthalpy at 0 K: -2.209 eV/atom
# ΔE to the lowest computed polymorph: 22 meV/atom
# total magnetic moment: 0.00 μB per cell
# mass density: 5.191 g/cm3
# space-group type: Cmce

# MgMnO2, relaxed, DFT PBE with a Hubbard U
data_MgMnO2
_chemical_formula_sum 'Mg4 Mn4 O8'
_cell_length_a 6.191
_cell_length_b 6.195
_cell_length_c 6.194
_cell_angle_alpha 90.05
_cell_angle_beta 119.99
_cell_angle_gamma 119.99
_space_group_name_H-M_alt 'P 1'
_space_group_IT_number 1
loop_
_space_group_symop_operation_xyz
'x,y,z'
loop_
_atom_site_label
_atom_site_type_symbol
_atom_site_fract_x
_atom_site_fract_y
_atom_site_fract_z
Mg1 Mg 0.000 0.000 0.000
Mg2 Mg 0.500 0.500 0.500
Mg3 Mg 0.000 0.500 0.000
Mg4 Mg 0.500 0.500 0.000
Mn1 Mn 0.000 0.000 0.500
Mn2 Mn 0.000 0.500 0.500
Mn3 Mn 0.500 0.000 0.000
Mn4 Mn 0.500 0.000 0.500
O1 O 0.490 0.735 0.245
O2 O 0.010 0.255 0.245
O3 O 0.490 0.255 0.245
O4 O 0.010 0.255 0.765
O5 O 0.990 0.745 0.755
O6 O 0.510 0.265 0.755
O7 O 0.990 0.745 0.235
O8 O 0.510 0.745 0.755
# formation enthalpy at 0 K: -2.502 eV/atom
# mass density: 4.399 g/cm3
# space-group type: Fd-3m

# Ba8Sr3CaW4O24, relaxed, DFT PBE with a Hubbard U
data_Ba8Sr3CaW4O24
_chemical_formula_sum 'Ba8 Sr3 Ca1 W4 O24'
_cell_length_a 6.155
_cell_length_b 10.528
_cell_length_c 10.635
_cell_angle_alpha 99.00
_cell_angle_beta 106.81
_cell_angle_gamma 90.00
_space_group_name_H-M_alt 'P 1'
_space_group_IT_number 1
loop_
_space_group_symop_operation_xyz
'x,y,z'
loop_
_atom_site_label
_atom_site_type_symbol
_atom_site_fract_x
_atom_site_fract_y
_atom_site_fract_z
Ba1 Ba 0.313 0.935 0.126
Ba2 Ba 0.061 0.188 0.624
Ba3 Ba 0.816 0.435 0.131
Ba4 Ba 0.561 0.682 0.623
Ba5 Ba 0.439 0.318 0.377
Ba6 Ba 0.184 0.565 0.869
Ba7 Ba 0.939 0.812 0.376
Ba8 Ba 0.687 0.065 0.874
Sr1 Sr 0.751 0.750 0.001
Sr2 Sr 0.500 0.000 0.500
Sr3 Sr 0.249 0.250 0.999
Ca1 Ca 0.000 0.500 0.500
W1 W 0.377 0.623 0.253
W2 W 0.123 0.872 0.748
W3 W 0.877 0.128 0.252
W4 W 0.623 0.377 0.747
O1 O 0.826 0.447 0.657
O2 O 0.581 0.696 0.168
O3 O 0.332 0.944 0.666
O4 O 0.081 0.199 0.167
O5 O 0.352 0.422 0.611
O6 O 0.114 0.667 0.115
O7 O 0.863 0.918 0.610
O8 O 0.615 0.173 0.112
O9 O 0.625 0.545 0.855
O10 O 0.378 0.792 0.361
O11 O 0.124 0.041 0.858
O12 O 0.883 0.298 0.363
O13 O 0.419 0.304 0.832
O14 O 0.174 0.553 0.343
O15 O 0.919 0.801 0.833
O16 O 0.668 0.056 0.334
O17 O 0.886 0.333 0.885
O18 O 0.648 0.578 0.389
O19 O 0.385 0.827 0.888
O20 O 0.137 0.082 0.390
O21 O 0.622 0.208 0.639
O22 O 0.375 0.455 0.145
O23 O 0.117 0.702 0.637
O24 O 0.876 0.959 0.142
# formation enthalpy at 0 K: -2.980 eV/atom
# total magnetic moment: 0.00 μB per cell
# mass density: 6.432 g/cm3
# space-group type: P-1

- Look up the mass density of the ninth one.
  2.858 g/cm3

Repeat the sixth record exactly.
# SrMoO3, relaxed, DFT PBE with a Hubbard U
data_SrMoO3
_chemical_formula_sum 'Sr1 Mo1 O3'
_cell_length_a 4.081
_cell_length_b 4.081
_cell_length_c 4.081
_cell_angle_alpha 90.00
_cell_angle_beta 90.00
_cell_angle_gamma 90.00
_space_group_name_H-M_alt 'P 1'
_space_group_IT_number 1
loop_
_space_group_symop_operation_xyz
'x,y,z'
loop_
_atom_site_label
_atom_site_type_symbol
_atom_site_fract_x
_atom_site_fract_y
_atom_site_fract_z
Sr1 Sr 0.500 0.500 0.500
Mo1 Mo 0.000 0.000 0.000
O1 O 0.500 0.000 0.000
O2 O 0.000 0.500 0.000
O3 O 0.000 0.000 0.500
# formation enthalpy at 0 K: -2.513 eV/atom
# total magnetic moment: 2.00 μB per cell
# mass density: 5.659 g/cm3
# space-group type: Pm-3m